# CoOF (PBE+U, relaxed)
data_CoOF
_chemical_formula_sum 'Co8 O8 F8'
_symmetry_space_group_name_H-M 'P 1'
_symmetry_Int_Tables_number 1
_symmetry_space_group_name_Hall 'P 1'
_cell_length_a 4.6046
_cell_length_b 2.9628
_cell_length_c 18.2330
_cell_angle_alpha 90.00
_cell_angle_beta 93.56
_cell_angle_gamma 90.00
loop_
_atom_site_label
_atom_site_type_symbol
_atom_site_fract_x
_atom_site_fract_y
_atom_site_fract_z
_atom_site_occupancy
Co1 Co 0.0000 0.0000 0.0000 1
Co2 Co 0.0000 0.0000 0.5000 1
Co3 Co 0.0653 0.0000 0.2467 1
Co4 Co 0.3989 0.5000 0.8749 1
Co5 Co 0.4725 0.5000 0.6265 1
Co6 Co 0.5275 0.5000 0.3735 1
Co7 Co 0.6011 0.5000 0.1251 1
Co8 Co 0.9347 0.0000 0.7533 1
O1 O 0.1525 0.5000 0.9486 1
O2 O 0.2341 0.0000 0.8258 1
O3 O 0.2941 0.0000 0.5777 1
O4 O 0.3448 0.0000 0.3252 1
O5 O 0.6552 0.0000 0.6748 1
O6 O 0.7059 0.0000 0.4223 1
O7 O 0.7659 0.0000 0.1742 1
O8 O 0.8475 0.5000 0.0514 1
F1 F 0.1406 0.5000 0.7034 1
F2 F 0.2012 0.5000 0.4503 1
F3 F 0.2833 0.5000 0.1975 1
F4 F 0.3791 0.0000 0.0772 1
F5 F 0.6209 0.0000 0.9228 1
F6 F 0.7167 0.5000 0.8025 1
F7 F 0.7988 0.5000 0.5497 1
F8 F 0.8594 0.5000 0.2966 1
# - SG: P2/m (10)
# - ΔE_f: -1.5971 eV/atom